# 1
LiFe2Cl2O2: optimized geometry, GGA+U.

a b c (Å): 3.440 3.994 8.446
angles (deg): 90.00 90.00 90.00
Space group Pmm2 (No. 25)
One atom of each set of equivalent atoms:
Li 0.000 0.000 0.000 [1 per cell]
Fe 0.000 0.000 0.427 [1 per cell]
Fe 0.500 0.500 0.606 [1 per cell]
Cl 0.000 0.500 0.847 [1 per cell]
Cl 0.500 0.000 0.193 [1 per cell]
O 0.000 0.500 0.483 [1 per cell]
O 0.500 0.000 0.589 [1 per cell]

Summary:
maximum piezoelectric response = 0.4 C/m2
total magnetization = 9.01 μB per formula unit
offset from the most stable computed form = 15 meV/atom
formation enthalpy at 0 K = -1425 meV per atom
corrected total energy (MP2020 scheme) = -42.41 eV/cell

=====

# 2
Li2Cr5Si12O30: optimized geometry, GGA+U.

a b c (Å): 10.227 10.254 14.700
angles (deg): 90.81 90.67 119.77
Space group P1 (No. 1)
One atom of each set of equivalent atoms:
Li 0.000 0.000 0.000 [1 per cell]
Li 0.002 0.995 0.500 [1 per cell]
Li 0.340 0.662 0.750 [1 per cell]
Li 0.666 0.326 0.250 [1 per cell]
Cr 0.001 0.494 0.999 [1 per cell]
Cr 0.333 0.660 0.002 [1 per cell]
Cr 0.333 0.661 0.498 [1 per cell]
Cr 0.497 0.493 0.502 [1 per cell]
Cr 0.499 0.490 0.001 [1 per cell]
Cr 0.501 0.992 0.000 [1 per cell]
Cr 0.502 0.994 0.500 [1 per cell]
Cr 0.666 0.326 0.502 [1 per cell]
Cr 0.668 0.327 0.998 [1 per cell]
Cr 0.998 0.494 0.498 [1 per cell]
Si 0.109 0.342 0.142 [1 per cell]
Si 0.114 0.344 0.361 [1 per cell]
Si 0.117 0.754 0.642 [1 per cell]
Si 0.120 0.758 0.861 [1 per cell]
Si 0.235 0.879 0.139 [1 per cell]
Si 0.236 0.343 0.641 [1 per cell]
Si 0.237 0.346 0.861 [1 per cell]
Si 0.237 0.882 0.358 [1 per cell]
Si 0.349 0.103 0.643 [1 per cell]
Si 0.349 0.229 0.142 [1 per cell]
Si 0.353 0.109 0.861 [1 per cell]
Si 0.353 0.230 0.361 [1 per cell]
Si 0.644 0.755 0.141 [1 per cell]
Si 0.646 0.754 0.359 [1 per cell]
Si 0.651 0.877 0.638 [1 per cell]
Si 0.653 0.882 0.858 [1 per cell]
Si 0.761 0.108 0.142 [1 per cell]
Si 0.763 0.641 0.641 [1 per cell]
Si 0.765 0.109 0.361 [1 per cell]
Si 0.765 0.644 0.860 [1 per cell]
Si 0.881 0.641 0.137 [1 per cell]
Si 0.886 0.230 0.638 [1 per cell]
Si 0.886 0.642 0.356 [1 per cell]
Si 0.889 0.233 0.857 [1 per cell]
O 0.054 0.770 0.111 [1 per cell]
O 0.058 0.273 0.608 [1 per cell]
O 0.058 0.777 0.384 [1 per cell]
O 0.061 0.270 0.890 [1 per cell]
O 0.114 0.362 0.252 [1 per cell]
O 0.144 0.738 0.751 [1 per cell]
O 0.149 0.494 0.092 [1 per cell]
O 0.159 0.499 0.415 [1 per cell]
O 0.163 0.645 0.588 [1 per cell]
O 0.164 0.649 0.914 [1 per cell]
O 0.213 0.931 0.613 [1 per cell]
O 0.217 0.270 0.114 [1 per cell]
O 0.223 0.937 0.890 [1 per cell]
O 0.228 0.280 0.389 [1 per cell]
O 0.249 0.381 0.751 [1 per cell]
O 0.254 0.877 0.248 [1 per cell]
O 0.273 0.053 0.391 [1 per cell]
O 0.274 0.051 0.109 [1 per cell]
O 0.274 0.208 0.615 [1 per cell]
O 0.283 0.218 0.888 [1 per cell]
O 0.344 0.835 0.085 [1 per cell]
O 0.349 0.842 0.409 [1 per cell]
O 0.350 0.504 0.912 [1 per cell]
O 0.353 0.499 0.596 [1 per cell]
O 0.376 0.112 0.752 [1 per cell]
O 0.390 0.244 0.252 [1 per cell]
O 0.492 0.648 0.084 [1 per cell]
O 0.493 0.830 0.586 [1 per cell]
O 0.496 0.650 0.415 [1 per cell]
O 0.496 0.841 0.904 [1 per cell]
O 0.500 0.143 0.591 [1 per cell]
O 0.505 0.344 0.095 [1 per cell]
O 0.506 0.154 0.917 [1 per cell]
O 0.510 0.340 0.414 [1 per cell]
O 0.614 0.855 0.747 [1 per cell]
O 0.618 0.732 0.250 [1 per cell]
O 0.649 0.153 0.092 [1 per cell]
O 0.654 0.487 0.586 [1 per cell]
O 0.655 0.154 0.413 [1 per cell]
O 0.657 0.494 0.914 [1 per cell]
O 0.715 0.933 0.116 [1 per cell]
O 0.721 0.936 0.385 [1 per cell]
O 0.727 0.774 0.608 [1 per cell]
O 0.729 0.780 0.891 [1 per cell]
O 0.743 0.620 0.750 [1 per cell]
O 0.749 0.134 0.252 [1 per cell]
O 0.776 0.715 0.109 [1 per cell]
O 0.778 0.049 0.611 [1 per cell]
O 0.778 0.712 0.388 [1 per cell]
O 0.784 0.055 0.885 [1 per cell]
O 0.837 0.486 0.084 [1 per cell]
O 0.840 0.337 0.584 [1 per cell]
O 0.846 0.486 0.403 [1 per cell]
O 0.847 0.345 0.908 [1 per cell]
O 0.861 0.603 0.246 [1 per cell]
O 0.883 0.249 0.747 [1 per cell]
O 0.937 0.205 0.110 [1 per cell]
O 0.941 0.706 0.616 [1 per cell]
O 0.945 0.210 0.392 [1 per cell]
O 0.946 0.715 0.886 [1 per cell]

Summary:
total magnetization = 9.00 μB per formula unit
formation enthalpy at 0 K = -2859 meV per atom
corrected total energy (MP2020 scheme) = -811.42 eV/cell

=====

# 3
Li4TiV3O8: optimized geometry, GGA+U.

a b c (Å): 5.965 5.967 5.999
angles (deg): 119.76 90.42 119.53
Space group P1 (No. 1)
One atom of each set of equivalent atoms:
Li 0.000 0.000 0.000 [1 per cell]
Li 0.004 0.502 0.999 [1 per cell]
Li 0.499 0.997 0.001 [1 per cell]
Li 0.506 0.500 0.997 [1 per cell]
Ti 0.502 0.503 0.500 [1 per cell]
V 0.001 0.503 0.500 [1 per cell]
V 0.003 0.003 0.499 [1 per cell]
V 0.503 0.003 0.499 [1 per cell]
O 0.206 0.963 0.270 [1 per cell]
O 0.210 0.482 0.271 [1 per cell]
O 0.271 0.516 0.730 [1 per cell]
O 0.273 0.033 0.732 [1 per cell]
O 0.731 0.487 0.270 [1 per cell]
O 0.732 0.973 0.266 [1 per cell]
O 0.793 0.524 0.729 [1 per cell]
O 0.797 0.042 0.729 [1 per cell]

Summary:
total magnetization = 7.00 μB per formula unit
offset from the most stable computed form = 162 meV/atom
formation enthalpy at 0 K = -2449 meV per atom
corrected total energy (MP2020 scheme) = -121.56 eV/cell

=====

# 4
MnCr3O8: optimized geometry, GGA+U.

a b c (Å): 5.889 10.080 8.885
angles (deg): 90.00 90.00 90.00
Space group Cmc2_1 (No. 36)
One atom of each set of equivalent atoms:
Mn 0.000 0.163 0.000 [4 per cell]
Cr 0.000 0.328 0.265 [4 per cell]
Cr 0.249 0.418 0.781 [8 per cell]
O 0.000 0.025 0.147 [4 per cell]
O 0.000 0.173 0.385 [4 per cell]
O 0.000 0.327 0.873 [4 per cell]
O 0.000 0.495 0.173 [4 per cell]
O 0.214 0.236 0.140 [8 per cell]
O 0.242 0.081 0.879 [8 per cell]

Summary:
total magnetization = 9.00 μB per formula unit
formation enthalpy at 0 K = -1897 meV per atom
corrected total energy (MP2020 scheme) = -401.86 eV/cell

=====

# 5
Mn3VCr2P6O24: optimized geometry, GGA+U.

a b c (Å): 8.397 8.408 8.539
angles (deg): 61.76 61.69 61.99
Space group P1 (No. 1)
One atom of each set of equivalent atoms:
Mn 0.000 0.000 0.000 [1 per cell]
Mn 0.211 0.204 0.206 [1 per cell]
Mn 0.505 0.492 0.500 [1 per cell]
V 0.708 0.705 0.710 [1 per cell]
Cr 0.356 0.352 0.355 [1 per cell]
Cr 0.858 0.847 0.853 [1 per cell]
P 0.110 0.404 0.802 [1 per cell]
P 0.311 0.893 0.603 [1 per cell]
P 0.403 0.800 0.103 [1 per cell]
P 0.610 0.300 0.908 [1 per cell]
P 0.804 0.102 0.410 [1 per cell]
P 0.903 0.604 0.309 [1 per cell]
O 0.040 0.246 0.842 [1 per cell]
O 0.103 0.455 0.304 [1 per cell]
O 0.107 0.905 0.754 [1 per cell]
O 0.175 0.381 0.949 [1 per cell]
O 0.244 0.852 0.030 [1 per cell]
O 0.263 0.422 0.598 [1 per cell]
O 0.308 0.094 0.457 [1 per cell]
O 0.360 0.739 0.527 [1 per cell]
O 0.381 0.944 0.173 [1 per cell]
O 0.418 0.595 0.248 [1 per cell]
O 0.463 0.296 0.107 [1 per cell]
O 0.464 0.837 0.690 [1 per cell]
O 0.540 0.329 0.760 [1 per cell]
O 0.599 0.260 0.428 [1 per cell]
O 0.608 0.779 0.942 [1 per cell]
O 0.691 0.461 0.847 [1 per cell]
O 0.750 0.529 0.347 [1 per cell]
O 0.772 0.098 0.923 [1 per cell]
O 0.780 0.941 0.613 [1 per cell]
O 0.841 0.034 0.257 [1 per cell]
O 0.844 0.684 0.466 [1 per cell]
O 0.918 0.759 0.107 [1 per cell]
O 0.947 0.607 0.779 [1 per cell]
O 0.953 0.169 0.386 [1 per cell]

Summary:
total magnetization = 18.31 μB per formula unit
formation enthalpy at 0 K = -2467 meV per atom
corrected total energy (MP2020 scheme) = -295.91 eV/cell

=====

# 6
RbWO3: optimized geometry, GGA+U.

a b c (Å): 4.058 4.058 4.058
angles (deg): 90.00 90.00 90.00
Space group Pm-3m (No. 221)
One atom of each set of equivalent atoms:
Rb 0.000 0.000 0.000 [1 per cell]
W 0.500 0.500 0.500 [1 per cell]
O 0.000 0.500 0.500 [3 per cell]

Summary:
total magnetization = 1.00 μB per formula unit
formation enthalpy at 0 K = -2041 meV per atom
corrected total energy (MP2020 scheme) = -38.99 eV/cell

=====

Q: Which formula does entry 5 have?
A: Mn3VCr2P6O24